Compound: CaDyV4O12
Source: the Materials Project database
Functional: GGA+U
Structure: optimized geometry

abc: 5.267 5.267 7.507
angles: 90.00 90.00 90.50
Sites, in units of the cell vectors:
Ca: 0.486 0.514 0.000
Dy: 0.023 0.977 0.500
V: 0.500 0.007 0.247
V: 0.500 0.007 0.753
V: 0.993 0.500 0.753
V: 0.993 0.500 0.247
O: 0.287 0.286 0.250
O: 0.714 0.713 0.250
O: 0.714 0.713 0.750
O: 0.287 0.286 0.750
O: 0.214 0.786 0.220
O: 0.796 0.204 0.294
O: 0.796 0.204 0.706
O: 0.214 0.786 0.780
O: 0.541 0.040 0.000
O: 0.452 0.975 0.500
O: 0.960 0.459 0.000
O: 0.025 0.548 0.500

Values from the calculation:
Electronic total energy   -7.491 eV/atom
Total magnetic moment   1.0 μB per formula unit
ΔH_f (0 K)   -2642 meV per atom